Entry 1:
Ca8Mo7O20, relaxed, DFT PBE+U; volume = 457.05 Å³/f.u.; space group = I4/m (87); theoretical density = 4.77 g/cm³; formation enthalpy at 0 K = -2.4993 eV per atom; crystal system = tetragonal
1.0
-4.325 4.325 6.108
4.325 -4.325 6.108
4.325 4.325 -6.108
Ca Mo O
8 7 20
Cartesian
6.099 -0.587 1.855 Ca
3.738 -1.774 4.253 Ca
2.551 0.587 1.855 Ca
-0.587 2.551 1.855 Ca
4.912 1.774 4.253 Ca
1.774 3.738 4.253 Ca
0.587 6.099 1.855 Ca
-1.774 4.912 4.253 Ca
0.000 0.000 0.000 Mo
5.399 2.649 0.000 Mo
0.000 0.000 4.161 Mo
2.649 3.251 0.000 Mo
1.676 1.074 6.108 Mo
0.000 0.000 8.055 Mo
-1.074 1.676 6.108 Mo
6.733 0.992 0.000 O
5.606 2.739 -2.038 O
3.815 1.481 0.000 O
0.000 0.000 2.095 O
2.739 3.044 -2.038 O
0.992 1.917 0.000 O
4.325 0.000 3.054 O
2.844 -0.510 6.108 O
1.586 1.281 4.071 O
5.606 2.739 2.038 O
-1.281 1.586 4.071 O
2.739 3.044 2.038 O
1.481 4.835 0.000 O
0.000 4.325 3.054 O
3.334 2.408 6.108 O
1.586 1.281 8.146 O
0.000 0.000 10.121 O
0.510 2.844 6.108 O
-1.281 1.586 8.146 O
-2.408 3.334 6.108 O



Entry 2:
Ca8Mn6Cr2O23, relaxed, DFT PBE+U; volume = 444.58 Å³/f.u.; space group = Pmm2 (25); theoretical density = 4.19 g/cm³; formation enthalpy at 0 K = -2.4642 eV per atom; crystal system = orthorhombic
1.0
7.591 0.000 0.000
0.000 7.663 0.000
0.000 0.000 7.643
Ca Mn Cr O
8 6 2 23
Cartesian
1.799 1.827 0.000 Ca
1.799 5.835 0.000 Ca
1.820 1.879 3.742 Ca
1.820 5.784 3.742 Ca
5.770 1.879 3.742 Ca
5.770 5.784 3.742 Ca
5.792 1.827 0.000 Ca
5.792 5.835 0.000 Ca
0.000 0.000 1.863 Mn
0.000 0.000 5.674 Mn
0.000 3.831 1.872 Mn
0.000 3.831 5.644 Mn
3.795 0.000 1.876 Mn
3.795 3.831 1.810 Mn
3.795 0.000 5.627 Cr
3.795 3.831 5.718 Cr
0.000 0.000 3.765 O
0.000 0.000 7.580 O
0.000 1.921 1.795 O
0.000 1.923 5.710 O
0.000 3.831 3.747 O
0.000 3.831 7.570 O
0.000 5.742 1.795 O
0.000 5.740 5.710 O
1.905 0.000 1.801 O
1.912 0.000 5.710 O
1.919 3.831 2.053 O
1.978 3.831 5.372 O
3.795 0.000 3.770 O
3.795 0.000 7.574 O
3.795 1.934 2.041 O
3.795 1.983 5.427 O
3.795 3.831 7.504 O
3.795 5.680 5.427 O
3.795 5.729 2.041 O
5.613 3.831 5.372 O
5.672 3.831 2.053 O
5.678 0.000 5.710 O
5.686 0.000 1.801 O



Entry 3:
MgCo3NiO8, relaxed, DFT PBE+U; volume = 138.84 Å³/f.u.; space group = P-1 (2); theoretical density = 4.64 g/cm³; formation enthalpy at 0 K = -1.3310 eV per atom; crystal system = triclinic
1.0
5.640 0.000 0.000
-2.816 4.967 0.000
-2.792 -1.681 4.957
Mg Co Ni O
1 3 1 8
Cartesian
0.000 0.000 0.000 Mg
-2.804 1.643 2.478 Co
1.424 -0.840 2.478 Co
0.016 1.643 2.478 Co
-1.396 -0.840 2.478 Ni
-1.339 0.744 1.454 O
-2.813 3.406 1.443 O
0.019 -0.025 3.420 O
-1.342 2.536 3.505 O
1.374 0.751 1.452 O
0.014 3.311 1.536 O
2.845 -0.120 3.513 O
1.371 2.542 3.503 O



Entry 4:
Fe4O3F5, relaxed, DFT PBE+U; volume = 143.30 Å³/f.u.; space group = P1 (1); theoretical density = 4.25 g/cm³; formation enthalpy at 0 K = -2.1338 eV per atom; crystal system = triclinic
1.0
4.822 0.000 0.000
-0.016 6.152 0.000
-0.119 -0.018 9.662
Fe O F
8 6 10
Cartesian
0.000 0.000 0.000 Fe
-0.058 -0.005 4.858 Fe
2.135 4.620 2.508 Fe
2.320 1.520 2.330 Fe
2.405 4.608 7.386 Fe
2.566 1.527 7.208 Fe
4.522 3.069 4.641 Fe
4.587 3.057 9.537 Fe
0.728 4.624 3.932 O
1.458 0.015 1.564 O
3.127 3.051 3.291 O
3.226 3.073 8.082 O
3.253 6.135 8.106 O
3.849 1.508 5.645 O
0.845 1.529 3.823 F
0.848 4.591 8.631 F
0.922 1.529 8.608 F
1.344 3.062 1.423 F
1.373 3.090 6.239 F
1.378 6.129 6.253 F
3.261 0.001 3.413 F
3.727 4.596 1.030 F
3.704 4.621 5.738 F
3.813 1.559 1.008 F



Entry 5:
Li9Mn15O32, relaxed, DFT PBE+U; volume = 552.75 Å³/f.u.; space group = C2/m (12); theoretical density = 4.20 g/cm³; formation enthalpy at 0 K = -2.0180 eV per atom; crystal system = monoclinic
1.0
5.814 -5.787 0.000
5.814 5.787 0.000
-5.755 0.000 8.215
Li Mn O
9 15 32
Cartesian
0.000 0.000 0.000 Li
-1.408 0.000 3.062 Li
4.365 2.936 1.003 Li
1.507 2.936 7.212 Li
1.459 0.000 5.115 Li
4.413 0.000 3.101 Li
4.365 -2.936 1.003 Li
1.507 -2.936 7.212 Li
7.280 0.000 5.154 Li
0.029 2.893 4.108 Mn
-1.414 1.454 6.164 Mn
1.471 1.423 2.055 Mn
2.936 2.922 4.108 Mn
2.892 0.000 0.026 Mn
1.471 -1.423 2.055 Mn
-1.414 -1.454 6.164 Mn
0.029 -2.893 4.108 Mn
5.814 0.000 0.000 Mn
7.286 1.454 2.051 Mn
4.401 1.423 6.160 Mn
2.980 0.000 8.189 Mn
2.936 -2.922 4.108 Mn
4.401 -1.423 6.160 Mn
7.286 -1.454 2.051 Mn
1.473 4.195 3.995 O
1.583 1.349 0.192 O
-0.122 2.914 6.049 O
2.779 2.905 2.188 O
-2.720 0.000 6.305 O
0.251 0.000 2.089 O
1.489 1.629 4.027 O
-1.375 1.287 8.103 O
1.583 -1.349 0.192 O
4.398 4.195 4.220 O
2.799 0.000 1.983 O
-0.118 0.000 6.270 O
3.093 2.905 6.027 O
5.994 2.914 2.166 O
-1.375 -1.287 8.103 O
4.383 1.629 4.188 O
1.489 -1.629 4.027 O
7.246 1.287 0.112 O
-0.122 -2.914 6.049 O
2.779 -2.905 2.188 O
5.990 0.000 1.946 O
3.073 0.000 6.232 O
1.473 -4.195 3.995 O
4.289 1.349 8.023 O
7.246 -1.287 0.112 O
4.383 -1.629 4.188 O
5.621 0.000 6.127 O
8.592 0.000 1.910 O
3.093 -2.905 6.027 O
5.994 -2.914 2.166 O
4.289 -1.349 8.023 O
4.398 -4.195 4.220 O



Entry 6:
Li3MnFe2B3O9, relaxed, DFT PBE+U; volume = 186.03 Å³/f.u.; space group = Pm (6); theoretical density = 3.25 g/cm³; formation enthalpy at 0 K = -2.3873 eV per atom; crystal system = monoclinic
1.0
8.266 0.000 0.000
0.000 3.148 0.000
-0.004 0.000 14.296
Li Mn Fe B O
6 2 4 6 18
Cartesian
0.000 0.000 0.000 Li
0.200 0.000 10.105 Li
0.593 0.000 4.908 Li
4.133 0.000 7.166 Li
4.339 0.000 2.980 Li
4.728 0.000 12.003 Li
1.578 1.574 2.344 Mn
5.568 1.574 0.428 Mn
1.470 1.574 7.577 Fe
1.882 1.574 12.196 Fe
5.698 1.574 9.521 Fe
6.017 1.574 5.066 Fe
3.020 0.000 0.212 B
3.018 0.000 9.770 B
3.015 1.574 5.019 B
7.143 0.000 2.636 B
7.152 0.000 7.389 B
7.164 1.574 12.143 B
0.040 1.574 11.347 O
0.117 0.000 2.008 O
0.165 0.000 6.835 O
1.753 1.574 4.432 O
1.866 0.000 8.988 O
1.878 0.000 13.707 O
2.905 0.000 1.603 O
2.914 0.000 11.158 O
3.133 1.574 6.408 O
4.161 1.574 4.225 O
4.273 0.000 9.167 O
4.279 0.000 13.924 O
5.903 1.574 11.545 O
5.985 0.000 1.872 O
6.029 0.000 6.561 O
6.994 0.000 8.775 O
7.060 0.000 4.027 O
7.286 1.574 13.529 O



Entry 7:
U4Ni3O26F14, relaxed, DFT PBE+U; volume = 793.90 Å³/f.u.; space group = P2_1/c (14); theoretical density = 3.79 g/cm³; formation enthalpy at 0 K = -1.3098 eV per atom; crystal system = monoclinic
1.0
8.475 0.000 0.000
0.000 12.189 0.000
-7.421 0.000 15.371
U Ni O F
8 6 52 28
Cartesian
-1.316 2.737 2.745 U
-5.026 3.358 10.431 U
-6.986 2.967 14.539 U
-3.275 3.127 6.853 U
4.329 9.061 8.519 U
8.040 9.222 0.833 U
6.080 8.831 4.940 U
2.369 9.452 12.626 U
-2.037 0.249 12.816 Ni
1.673 5.846 5.130 Ni
0.527 0.000 7.686 Ni
4.237 6.094 0.000 Ni
-0.619 6.343 10.242 Ni
3.091 11.940 2.556 Ni
-1.918 7.076 5.097 O
-5.628 11.207 12.783 O
-3.746 7.313 8.893 O
-0.036 10.970 1.207 O
-4.517 1.593 10.567 O
-0.807 4.501 2.881 O
-2.907 1.384 7.303 O
-6.617 4.710 14.988 O
2.427 6.415 0.093 O
-1.284 11.868 7.778 O
-3.698 0.949 13.115 O
0.013 5.145 5.429 O
1.445 0.078 3.252 O
-2.265 6.016 10.938 O
1.514 6.272 3.372 O
-2.197 12.011 11.057 O
-0.912 6.503 8.455 O
2.798 11.780 0.769 O
0.434 1.531 6.743 O
-3.276 4.564 14.429 O
-2.057 2.010 12.371 O
1.654 4.084 4.685 O
3.280 1.359 1.749 O
-0.430 4.735 9.435 O
-0.225 0.743 9.181 O
3.486 5.352 1.495 O
-2.432 6.837 13.876 O
1.278 11.446 6.191 O
1.484 7.454 5.936 O
-2.226 10.830 13.622 O
-0.600 8.105 10.686 O
3.111 10.178 3.001 O
4.330 7.625 0.942 O
0.620 10.658 8.628 O
-1.745 0.409 14.603 O
1.966 5.686 6.917 O
3.250 0.177 4.314 O
-0.460 5.917 12.000 O
3.319 6.172 4.433 O
-0.392 12.111 12.119 O
1.041 7.043 9.943 O
4.751 11.240 2.257 O
2.338 0.321 7.593 O
-1.373 5.774 15.279 O
7.671 7.479 0.383 O
3.961 10.805 8.069 O
1.861 7.687 12.491 O
5.571 10.596 4.805 O
1.090 1.218 14.164 O
4.800 4.876 6.478 O
6.682 0.982 2.589 O
2.972 5.113 10.274 O
-2.207 2.865 4.854 F
-5.917 3.229 12.540 F
0.607 2.375 1.439 F
-3.103 3.720 9.124 F
-2.188 9.141 7.249 F
-5.898 9.142 14.935 F
1.078 8.617 2.177 F
-2.632 9.666 9.863 F
-4.110 8.902 12.966 F
-0.400 9.381 5.280 F
0.241 2.056 4.031 F
-3.469 4.038 11.717 F
-4.969 2.521 14.923 F
-1.259 3.573 7.238 F
2.313 8.616 8.134 F
6.023 9.667 0.448 F
4.523 8.150 3.655 F
0.813 10.133 11.341 F
1.454 2.808 10.092 F
5.164 3.286 2.406 F
3.686 2.523 5.509 F
-0.024 3.572 13.194 F
6.952 3.046 0.437 F
3.241 3.048 8.122 F
4.157 8.469 6.247 F
0.447 9.814 13.933 F
6.971 8.959 2.831 F
3.261 9.324 10.517 F



Entry 8:
CaCo4O8, relaxed, DFT PBE+U; volume = 151.28 Å³/f.u.; space group = R-3m (166); theoretical density = 4.43 g/cm³; formation enthalpy at 0 K = -1.5584 eV per atom; crystal system = trigonal
1.0
2.820 1.628 5.491
-2.820 1.628 5.491
0.000 -3.256 5.491
Ca Co O
1 4 8
Cartesian
0.000 0.000 0.000 Ca
-2.820 0.000 8.237 Co
-1.410 0.814 2.746 Co
1.410 0.814 2.746 Co
0.000 0.000 8.237 Co
0.000 0.000 3.670 O
-1.418 -0.819 9.219 O
0.000 -1.637 7.255 O
-1.418 0.819 7.255 O
1.418 -0.819 9.219 O
0.000 1.637 9.219 O
1.418 0.819 7.255 O
0.000 0.000 12.804 O



Entry 9:
MgFeHO2, relaxed, DFT PBE+U; volume = 50.04 Å³/f.u.; space group = P1 (1); theoretical density = 3.75 g/cm³; formation enthalpy at 0 K = -1.2539 eV per atom; crystal system = triclinic
1.0
3.047 0.000 0.000
1.521 2.641 0.000
0.005 0.022 6.218
Mg Fe H O
1 1 1 2
Cartesian
0.000 0.000 0.000 Mg
1.535 0.898 2.795 Fe
3.048 1.779 5.443 H
0.011 0.018 3.695 O
3.054 1.778 1.516 O



Entry 10:
TiMn3Cr2P6O24, relaxed, DFT PBE+U; volume = 444.37 Å³/f.u.; space group = R3 (146); theoretical density = 3.31 g/cm³; formation enthalpy at 0 K = -2.5577 eV per atom; crystal system = trigonal
1.0
4.338 2.505 6.816
-4.338 2.505 6.816
0.000 -5.009 6.816
Ti Mn Cr P O
1 3 2 6 24
Cartesian
0.000 0.000 0.000 Ti
0.000 0.000 6.003 Mn
0.000 0.000 10.243 Mn
0.000 0.000 16.207 Mn
0.000 0.000 3.001 Cr
0.000 0.000 13.255 Cr
-2.608 -0.004 8.124 P
-1.736 -2.506 11.519 P
1.308 -2.257 8.124 P
-1.302 2.756 11.519 P
1.300 2.261 8.124 P
3.038 -0.251 11.519 P
-2.558 -2.434 10.256 O
-0.687 -1.314 4.501 O
-3.573 1.263 8.295 O
-2.700 -2.648 12.740 O
-1.763 0.077 6.850 O
-0.795 1.252 4.501 O
0.692 -3.726 8.295 O
-1.822 -0.058 9.397 O
0.815 -1.565 6.850 O
1.482 0.062 4.501 O
-0.853 -1.272 11.846 O
0.962 -1.549 9.397 O
0.948 1.488 6.850 O
-1.491 0.027 14.692 O
-0.675 1.375 11.846 O
-0.829 3.432 10.256 O
0.860 1.607 9.397 O
0.722 -1.305 14.692 O
1.528 -0.103 11.846 O
-0.943 3.662 12.740 O
3.387 -0.998 10.256 O
0.769 1.278 14.692 O
2.881 2.463 8.295 O
3.643 -1.014 12.740 O



Look up the formation enthalpy at 0 K of the tenth one. -2.5577 eV per atom



Which of these has the highest formation enthalpy at 0 K? MgFeHO2



Copy entry 10 word for word.
TiMn3Cr2P6O24, relaxed, DFT PBE+U; volume = 444.37 Å³/f.u.; space group = R3 (146); theoretical density = 3.31 g/cm³; formation enthalpy at 0 K = -2.5577 eV per atom; crystal system = trigonal
1.0
4.338 2.505 6.816
-4.338 2.505 6.816
0.000 -5.009 6.816
Ti Mn Cr P O
1 3 2 6 24
Cartesian
0.000 0.000 0.000 Ti
0.000 0.000 6.003 Mn
0.000 0.000 10.243 Mn
0.000 0.000 16.207 Mn
0.000 0.000 3.001 Cr
0.000 0.000 13.255 Cr
-2.608 -0.004 8.124 P
-1.736 -2.506 11.519 P
1.308 -2.257 8.124 P
-1.302 2.756 11.519 P
1.300 2.261 8.124 P
3.038 -0.251 11.519 P
-2.558 -2.434 10.256 O
-0.687 -1.314 4.501 O
-3.573 1.263 8.295 O
-2.700 -2.648 12.740 O
-1.763 0.077 6.850 O
-0.795 1.252 4.501 O
0.692 -3.726 8.295 O
-1.822 -0.058 9.397 O
0.815 -1.565 6.850 O
1.482 0.062 4.501 O
-0.853 -1.272 11.846 O
0.962 -1.549 9.397 O
0.948 1.488 6.850 O
-1.491 0.027 14.692 O
-0.675 1.375 11.846 O
-0.829 3.432 10.256 O
0.860 1.607 9.397 O
0.722 -1.305 14.692 O
1.528 -0.103 11.846 O
-0.943 3.662 12.740 O
3.387 -0.998 10.256 O
0.769 1.278 14.692 O
2.881 2.463 8.295 O
3.643 -1.014 12.740 O